(1)
Compound: PrCo9Si4
Source: Materials Project
Functional: r²SCAN
Structure: optimized geometry

a b c (Å): 7.9500 7.9500 7.9500
angles (deg): 122.05 122.05 86.49
Closest atoms and distances in Å follow each position.
Fractional positions:
Co 0.8076 0.3076 0.7554  4 Si 2.31-2.38, 5 Co 2.51-2.55
Co 0.8032 0.0677 0.8709  5 Co 2.27-2.53, 4 Si 2.50-2.54
Co 0.0000 0.5000 0.5000  4 Si 2.32, 8 Co 2.39-2.51
Co 0.9478 0.1924 0.5000  4 Si 2.31-2.38, 5 Co 2.51-2.55
Co 0.5000 0.0000 0.5000  4 Si 2.32, 8 Co 2.39-2.51
Co 0.0522 0.8076 0.5000  4 Si 2.31-2.38, 5 Co 2.51-2.55
Co 0.5677 0.3032 0.8709  5 Co 2.27-2.53, 4 Si 2.50-2.54
Co 0.6924 0.4478 0.5000  4 Si 2.31-2.38, 5 Co 2.51-2.55
Co 0.4323 0.6968 0.1291  5 Co 2.27-2.53, 4 Si 2.50-2.54
Co 0.0677 0.1968 0.2645  5 Co 2.27-2.53, 4 Si 2.50-2.54
Co 0.1968 0.9323 0.1291  5 Co 2.27-2.53, 4 Si 2.50-2.54
Co 0.1924 0.6924 0.2446  4 Si 2.31-2.38, 5 Co 2.51-2.55
Co 0.5522 0.0522 0.2446  4 Si 2.31-2.38, 5 Co 2.51-2.55
Co 0.3076 0.5522 0.5000  4 Si 2.31-2.38, 5 Co 2.51-2.55
Co 0.9323 0.8032 0.7355  5 Co 2.27-2.53, 4 Si 2.50-2.54
Co 0.4478 0.9478 0.7554  4 Si 2.31-2.38, 5 Co 2.51-2.55
Co 0.6968 0.5677 0.2645  5 Co 2.27-2.53, 4 Si 2.50-2.54
Co 0.3032 0.4323 0.7355  5 Co 2.27-2.53, 4 Si 2.50-2.54
Pr 0.7500 0.7500 0.0000  16 Co 3.14-3.31, 8 Si 3.22
Pr 0.2500 0.2500 0.0000  16 Co 3.14-3.31, 8 Si 3.22
Si 0.9564 0.4564 0.1649  9 Co 2.31-2.54
Si 0.7085 0.2085 0.1649  9 Co 2.31-2.54
Si 0.0436 0.5436 0.8351  9 Co 2.31-2.54
Si 0.7915 0.9564 0.5000  9 Co 2.31-2.54
Si 0.5436 0.7085 0.5000  9 Co 2.31-2.54
Si 0.2915 0.7915 0.8351  9 Co 2.31-2.54
Si 0.2085 0.0436 0.5000  9 Co 2.31-2.54
Si 0.4564 0.2915 0.5000  9 Co 2.31-2.54

(2)
Compound: PrCo2Si2
Source: Materials Project
Functional: r²SCAN
Structure: optimized geometry

a b c (Å): 3.9380 3.9380 5.7351
angles (deg): 110.08 110.08 90.00
Closest atoms and distances in Å follow each position.
Fractional positions:
Si 0.6370 0.6370 0.2740  4 Co 2.27
Si 0.3630 0.3630 0.7260  4 Co 2.27
Co 0.7500 0.2500 0.5000  4 Si 2.27
Co 0.2500 0.7500 0.5000  4 Si 2.27
Pr 0.0000 0.0000 0.0000  8 Si 3.10, 8 Co 3.19

(3)
Compound: Pr3Co4Sn13
Source: Materials Project
Functional: r²SCAN
Structure: optimized geometry

a b c (Å): 9.6041 9.6041 9.6041
angles (deg): 90.00 90.00 90.00
Closest atoms and distances in Å follow each position.
Fractional positions:
Sn 0.0000 0.8418 0.3016  2 Co 2.61
Sn 0.6984 0.0000 0.1582  2 Co 2.61
Sn 0.1984 0.6582 0.5000  2 Co 2.61
Sn 0.0000 0.1582 0.3016  2 Co 2.61
Sn 0.3418 0.5000 0.1984  2 Co 2.61
Sn 0.0000 0.0000 0.0000  12 Sn 3.27
Sn 0.5000 0.8016 0.6582  2 Co 2.61
Sn 0.1984 0.3418 0.5000  2 Co 2.61
Sn 0.5000 0.5000 0.5000  12 Sn 3.27
Sn 0.3016 0.0000 0.8418  2 Co 2.61
Sn 0.5000 0.1984 0.3418  2 Co 2.61
Sn 0.1582 0.6984 0.0000  2 Co 2.61
Sn 0.0000 0.8418 0.6984  2 Co 2.61
Sn 0.0000 0.1582 0.6984  2 Co 2.61
Sn 0.1582 0.3016 0.0000  2 Co 2.61
Sn 0.3418 0.5000 0.8016  2 Co 2.61
Sn 0.8016 0.3418 0.5000  2 Co 2.61
Sn 0.3016 0.0000 0.1582  2 Co 2.61
Sn 0.5000 0.8016 0.3418  2 Co 2.61
Sn 0.8016 0.6582 0.5000  2 Co 2.61
Sn 0.5000 0.1984 0.6582  2 Co 2.61
Sn 0.6582 0.5000 0.8016  2 Co 2.61
Sn 0.8418 0.3016 0.0000  2 Co 2.61
Sn 0.6984 0.0000 0.8418  2 Co 2.61
Sn 0.8418 0.6984 0.0000  2 Co 2.61
Sn 0.6582 0.5000 0.1984  2 Co 2.61
Co 0.2500 0.7500 0.2500  6 Sn 2.61
Co 0.7500 0.2500 0.2500  6 Sn 2.61
Co 0.2500 0.2500 0.2500  6 Sn 2.61
Co 0.2500 0.2500 0.7500  6 Sn 2.61
Co 0.2500 0.7500 0.7500  6 Sn 2.61
Co 0.7500 0.2500 0.7500  6 Sn 2.61
Co 0.7500 0.7500 0.2500  6 Sn 2.61
Co 0.7500 0.7500 0.7500  6 Sn 2.61
Pr 0.5000 0.2500 0.0000  12 Sn 3.32-3.42, 4 Co 3.40
Pr 0.0000 0.5000 0.2500  12 Sn 3.32-3.42, 4 Co 3.40
Pr 0.5000 0.7500 0.0000  12 Sn 3.32-3.42, 4 Co 3.40
Pr 0.0000 0.5000 0.7500  12 Sn 3.32-3.42, 4 Co 3.40
Pr 0.2500 0.0000 0.5000  12 Sn 3.32-3.42, 4 Co 3.40
Pr 0.7500 0.0000 0.5000  12 Sn 3.32-3.42, 4 Co 3.40

(4)
Compound: Pr2CoSn4
Source: Materials Project
Functional: r²SCAN
Structure: optimized geometry

a b c (Å): 4.5158 4.5497 8.9449
angles (deg): 75.30 90.00 90.00
Closest atoms and distances in Å follow each position.
Fractional positions:
Co 0.2500 0.6961 0.6077  5 Sn 2.47-2.53
Sn 0.7500 0.4424 0.1142  2 Sn 2.96, 4 Pr 3.29-3.30
Sn 0.2500 0.5536 0.8931  1 Co 2.47
Sn 0.2500 0.2597 0.4806  2 Co 2.53
Sn 0.7500 0.7592 0.4825  2 Co 2.50
Pr 0.2500 0.8985 0.2026  10 Sn 3.29-3.52, 1 Co 3.50
Pr 0.7500 0.1085 0.7835  10 Sn 3.34-3.66, 4 Co 3.55

(5)
Compound: CoPt
Source: Materials Project
Functional: r²SCAN
Structure: optimized geometry

a b c (Å): 3.7252 3.7871 3.7871
angles (deg): 90.00 90.00 90.00
Closest atoms and distances in Å follow each position.
Fractional positions:
Co 0.0000 0.0000 0.0000  8 Pt 2.66, 4 Co 2.68
Co 0.0000 0.5000 0.5000  8 Pt 2.66, 4 Co 2.68
Pt 0.5000 0.5000 0.0000  8 Co 2.66, 4 Pt 2.68
Pt 0.5000 0.0000 0.5000  8 Co 2.66, 4 Pt 2.68

(6)
Compound: CoPt
Source: Materials Project
Functional: r²SCAN
Structure: optimized geometry

a b c (Å): 4.5496 4.5496 4.5496
angles (deg): 34.43 34.43 34.43
Closest atoms and distances in Å follow each position.
Fractional positions:
Pt 0.5000 0.5000 0.5000  6 Co 2.64, 6 Pt 2.69
Co 0.0000 0.0000 0.0000  6 Pt 2.64, 6 Co 2.69

What did we get for DFT formation energy? Answer: -38; -65; -28; -56; -14; -6 kJ per mole of atoms, in the order shown.